1.
The following is a PBE-GGA calculation of a relaxed LiMg crystal, from Materials Project.

Values from the calculation:
- energy of formation from the pure elements (eV/atom) = -0.029
- total magnetic moment (μB/cell) = 0.01

a = 11.233 Å, b = 3.147 Å, c = 7.421 Å
α = 90.00°, β = 106.88°, γ = 90.00°
Space group Cm (No. 8)
One atom of each set of equivalent atoms:
Li1 0.000 0.000 0.000 (multiplicity 2)
Li2 0.113 0.500 0.726 (multiplicity 2)
Li3 0.334 0.000 0.669 (multiplicity 2)
Mg1 0.167 0.500 0.335 (multiplicity 2)
Mg2 0.279 0.000 0.052 (multiplicity 2)
Mg3 0.448 0.500 0.400 (multiplicity 2)

=====

2.
The following is a PBE-GGA calculation of a relaxed LiMg crystal, from Materials Project.

Values from the calculation:
- energy of formation from the pure elements (eV/atom) = -0.038

a = 5.041 Å, b = 3.054 Å, c = 5.414 Å
α = 90.00°, β = 90.00°, γ = 90.00°
Space group Pmma (No. 51)
One atom of each set of equivalent atoms:
Li1 0.250 0.000 0.166 (multiplicity 2)
Mg1 0.250 0.500 0.670 (multiplicity 2)

=====

3.
The following is a PBE-GGA calculation of a relaxed LiMg149 crystal, from Materials Project.

Values from the calculation:
- energy of formation from the pure elements (eV/atom) = -0.027

a = 15.658 Å, b = 15.970 Å, c = 27.632 Å
α = 90.00°, β = 90.00°, γ = 90.00°
Space group Amm2 (No. 38)
One atom of each set of equivalent atoms:
Li1 0.000 0.000 0.000 (multiplicity 2)
Mg1 0.000 0.000 0.200 (multiplicity 2)
Mg2 0.000 0.000 0.400 (multiplicity 2)
Mg3 0.000 0.000 0.600 (multiplicity 2)
Mg4 0.000 0.000 0.800 (multiplicity 2)
Mg5 0.000 0.099 0.099 (multiplicity 4)
Mg6 0.000 0.099 0.901 (multiplicity 4)
Mg7 0.000 0.100 0.300 (multiplicity 4)
Mg8 0.000 0.100 0.500 (multiplicity 4)
Mg9 0.000 0.100 0.700 (multiplicity 4)
Mg10 0.000 0.198 0.000 (multiplicity 4)
Mg11 0.000 0.200 0.200 (multiplicity 4)
Mg12 0.000 0.200 0.400 (multiplicity 4)
Mg13 0.000 0.200 0.600 (multiplicity 4)
Mg14 0.000 0.200 0.800 (multiplicity 4)
Mg15 0.165 0.000 0.066 (multiplicity 4)
Mg16 0.165 0.099 0.967 (multiplicity 8)
Mg17 0.167 0.000 0.267 (multiplicity 4)
Mg18 0.167 0.000 0.467 (multiplicity 4)
Mg19 0.167 0.000 0.667 (multiplicity 4)
Mg20 0.167 0.000 0.867 (multiplicity 4)
Mg21 0.167 0.100 0.167 (multiplicity 8)
Mg22 0.167 0.100 0.367 (multiplicity 8)
Mg23 0.167 0.100 0.567 (multiplicity 8)
Mg24 0.167 0.100 0.767 (multiplicity 8)
Mg25 0.167 0.200 0.067 (multiplicity 8)
Mg26 0.167 0.200 0.267 (multiplicity 8)
Mg27 0.167 0.200 0.467 (multiplicity 8)
Mg28 0.167 0.200 0.667 (multiplicity 8)
Mg29 0.167 0.200 0.867 (multiplicity 8)
Mg30 0.333 0.000 0.000 (multiplicity 4)
Mg31 0.333 0.000 0.200 (multiplicity 4)
Mg32 0.333 0.000 0.600 (multiplicity 4)
Mg33 0.333 0.000 0.800 (multiplicity 4)
Mg34 0.333 0.100 0.100 (multiplicity 8)
Mg35 0.333 0.100 0.500 (multiplicity 8)
Mg36 0.333 0.100 0.700 (multiplicity 8)
Mg37 0.333 0.100 0.900 (multiplicity 8)
Mg38 0.333 0.200 0.000 (multiplicity 8)
Mg39 0.333 0.200 0.200 (multiplicity 8)
Mg40 0.333 0.200 0.400 (multiplicity 8)
Mg41 0.333 0.200 0.600 (multiplicity 8)
Mg42 0.333 0.200 0.800 (multiplicity 8)
Mg43 0.334 0.000 0.400 (multiplicity 4)
Mg44 0.334 0.100 0.300 (multiplicity 8)
Mg45 0.500 0.000 0.067 (multiplicity 2)
Mg46 0.500 0.000 0.267 (multiplicity 2)
Mg47 0.500 0.000 0.467 (multiplicity 2)
Mg48 0.500 0.000 0.667 (multiplicity 2)
Mg49 0.500 0.000 0.867 (multiplicity 2)
Mg50 0.500 0.100 0.167 (multiplicity 4)
Mg51 0.500 0.100 0.367 (multiplicity 4)
Mg52 0.500 0.100 0.567 (multiplicity 4)
Mg53 0.500 0.100 0.767 (multiplicity 4)
Mg54 0.500 0.100 0.967 (multiplicity 4)
Mg55 0.500 0.200 0.067 (multiplicity 4)
Mg56 0.500 0.200 0.267 (multiplicity 4)
Mg57 0.500 0.200 0.467 (multiplicity 4)
Mg58 0.500 0.200 0.667 (multiplicity 4)
Mg59 0.500 0.200 0.867 (multiplicity 4)

=====

4.
The following is a PBE-GGA calculation of a relaxed Li3Mg crystal, from Materials Project.

Values from the calculation:
- energy of formation from the pure elements (eV/atom) = -0.022

a = 3.085 Å, b = 4.980 Å, c = 5.250 Å
α = 90.00°, β = 90.00°, γ = 90.00°
Space group Pmm2 (No. 25)
One atom of each set of equivalent atoms:
Li1 0.000 0.000 0.000 (multiplicity 1)
Li2 0.000 0.500 0.333 (multiplicity 1)
Li3 0.500 0.000 0.499 (multiplicity 1)
Mg1 0.500 0.500 0.836 (multiplicity 1)

=====

5.
The following is a PBE-GGA calculation of a relaxed LiMg crystal, from Materials Project.

Values from the calculation:
- energy of formation from the pure elements (eV/atom) = -0.006

a = 3.1356 Å, b = 3.1356 Å, c = 10.1784 Å
α = 90.00°, β = 90.00°, γ = 120.00°
Space group P-3m1 (No. 164)
One atom of each set of equivalent atoms:
Li1 0.3333 0.6667 0.3759 (multiplicity 2)
Mg1 0.3333 0.6667 0.8716 (multiplicity 2)

=====

6.
The following is a PBE-GGA calculation of a relaxed LiMg crystal, from Materials Project.

Values from the calculation:
- energy of formation from the pure elements (eV/atom) = -0.058
- total magnetic moment (μB/cell) = 0.00

a = 4.913 Å, b = 3.340 Å, c = 4.934 Å
α = 90.00°, β = 90.00°, γ = 90.00°
Space group Pmma (No. 51)
One atom of each set of equivalent atoms:
Li1 0.250 0.000 0.243 (multiplicity 2)
Mg1 0.250 0.500 0.744 (multiplicity 2)